This record from the Materials Project database describes a relaxed structure of Rb3Au3Cl8. The functional is meta-GGA r2SCAN.

E	-18.520	eV per atom
size of the total moment	0.0	μB/f.u.

Unit cell a=12.0020 b=7.5544 c=18.1785 alpha=90.00 beta=99.48 gamma=90.00
Closest atoms and distances in Å follow each position.
Space group C2/c (No. 15)
Asymmetric unit:
Rb 0.0000 0.0166 0.2500 (multiplicity 4)  6 Cl 3.25-3.55
Rb 0.1843 0.5002 0.0813 (multiplicity 8)  7 Cl 3.30-3.61
Au 0.0000 0.0000 0.0000 (multiplicity 4)  4 Cl 2.33-2.34
Au 0.1114 0.4984 0.8068 (multiplicity 8)  2 Cl 2.30
Cl 0.0388 0.2893 0.8775 (multiplicity 8)  1 Au 2.30
Cl 0.0624 0.2227 0.4274 (multiplicity 8)  1 Au 2.34
Cl 0.1814 0.0248 0.0687 (multiplicity 8)  1 Au 2.33
Cl 0.2066 0.2972 0.2471 (multiplicity 8)  1 Au 2.30